Entry from the Materials Project database: a relaxed Nd2MgS4 crystal (PBE-GGA).

Calculated values
Its space group is I-42d (122). The calculation puts the calculated volume at 21.96 A^3/atom. The total magnetization comes out at 0.00 μB/atom. Its final energy is -5.750 eV/atom. For the polymorph energy (0 for the lowest one), the calculation gives 24 kJ/mol of formula units. Its energy relative to the elements is -2082.9 meV per atom.

Cell: 7.3687 7.3687 7.3687 Å, 110.96 110.96 106.53°
With the nearest neighbours (Å) after each atom.
Atoms (fractional coordinates):
S  0.5063  0.3765  0.2670  1 Mg 2.63, 2 Nd 2.78-2.88
S  0.1265  0.7563  0.7670  1 Mg 2.63, 2 Nd 2.78-2.88
S  0.6235  0.8905  0.1297  1 Mg 2.63, 2 Nd 2.78-2.88
S  0.7607  0.4937  0.8703  1 Mg 2.63, 2 Nd 2.78-2.88
S  0.2437  0.0107  0.3703  1 Mg 2.63, 2 Nd 2.78-2.88
S  0.9893  0.3595  0.2330  1 Mg 2.63, 2 Nd 2.78-2.88
S  0.6405  0.8735  0.6297  1 Mg 2.63, 2 Nd 2.78-2.88
S  0.1095  0.2393  0.7330  1 Mg 2.63, 2 Nd 2.78-2.88
Nd  0.8750  0.7571  0.3821  6 S 2.78-3.01
Nd  0.3750  0.4929  0.6179  6 S 2.78-3.01
Nd  0.2429  0.6250  0.1179  6 S 2.78-3.01
Nd  0.5071  0.1250  0.8821  6 S 2.78-3.01
Mg  0.7500  0.2500  0.5000  4 S 2.63
Mg  0.0000  0.0000  0.0000  4 S 2.63